Material: DyHoAl4
Method: DFT, PBE
State: relaxed

Output
Space-group type: No. 216
Formation enthalpy at 0 K: -514 meV per atom
Electronic total energy: -4.54 eV/atom
Density: 5.97 Mg/m³

```
DyHoAl4
1.0
0.0000 3.9275 3.9275
3.9275 0.0000 3.9275
3.9275 3.9275 0.0000
Al Ho Dy
4 1 1
direct
0.1250 0.6250 0.6250
0.6250 0.6250 0.6250
0.6250 0.6250 0.1250
0.6250 0.1250 0.6250
0.0000 0.0000 0.0000
0.2500 0.2500 0.2500
```